Entry from the Materials Project: ErWBrO4 after structural relaxation (GGA+U).

Cell lengths 7.0178, 7.2893, 10.9820 Å; angles 102.75, 108.47, 95.27 degrees
With the nearest neighbours (Å) after each atom.
Positions (direct):
Br  0.1946  0.7222  0.9852  2 Er 2.90-3.04, 3 O 3.18-3.21
Br  0.2649  0.0099  0.5188  2 Er 2.90-2.91, 2 O 3.10-3.23
Br  0.8054  0.2778  0.0148  2 Er 2.90-3.04, 3 O 3.18-3.21
Br  0.7351  0.9901  0.4812  2 Er 2.90-2.91, 2 O 3.10-3.23
O  0.3431  0.2151  0.2950  1 W 1.87
O  0.6458  0.6293  0.2009  1 W 1.81
O  0.5980  0.0127  0.1884  1 W 1.86
O  0.3392  0.5010  0.5548  1 W 1.82
O  0.7255  0.3948  0.6983  1 W 1.80
O  0.0000  0.8824  0.2043  1 W 1.80
O  0.2745  0.6052  0.3017  1 W 1.80
O  0.6569  0.7849  0.7050  1 W 1.87
O  0.6512  0.7328  0.9545  1 W 1.80
O  0.3542  0.3707  0.7991  1 W 1.81
O  0.0000  0.1176  0.7957  1 W 1.80
O  0.3488  0.2672  0.0455  1 W 1.80
O  0.4020  0.9873  0.8116  1 W 1.86
O  0.6608  0.4990  0.4452  1 W 1.82
O  0.9614  0.3473  0.3296  1 W 1.80
O  0.0386  0.6527  0.6704  1 W 1.80
W  0.2736  0.1848  0.8670  4 O 1.80-1.86
W  0.2329  0.4123  0.3741  4 O 1.80-1.87
W  0.7264  0.8152  0.1330  4 O 1.80-1.86
W  0.7671  0.5877  0.6259  4 O 1.80-1.87
Er  0.3782  0.6634  0.7659  6 O 2.24-2.41
Er  0.6218  0.3366  0.2341  6 O 2.24-2.41
Er  0.6624  0.1039  0.7305  4 O 2.23-2.44
Er  0.3376  0.8961  0.2695  4 O 2.23-2.44

Properties
Symmetry: P-1, No. 2
Energy with MP2020 corrections (eV per atom): -8.16

Entry from the Materials Project: P4WO12 after structural relaxation (GGA+U).

Cell lengths 8.5256, 8.5256, 9.6697 Å; angles 61.84, 61.84, 51.65 degrees
With the nearest neighbours (Å) after each atom.
Positions (direct):
W  0.8574  0.1426  0.7500  6 O 2.03-2.13
W  0.1426  0.8574  0.2500  6 O 2.03-2.13
O  0.2096  0.5963  0.2264  1 P 1.53
O  0.6335  0.8600  0.2998  2 P 1.57-1.62
O  0.0317  0.7349  0.5010  1 P 1.51
O  0.2651  0.9683  0.9990  1 P 1.51
O  0.7349  0.0317  0.0010  1 P 1.51
O  0.3665  0.1400  0.7002  2 P 1.57-1.62
O  0.8596  0.9957  0.2129  1 P 1.51
O  0.4949  0.3603  0.4558  1 P 1.46
O  0.6397  0.5051  0.0442  1 P 1.46
O  0.1404  0.0043  0.7871  1 P 1.51
O  0.4037  0.7904  0.2736  1 P 1.53
O  0.0043  0.1404  0.2871  1 P 1.51
O  0.4834  0.2343  0.2202  2 P 1.58-1.62
O  0.9957  0.8596  0.7129  1 P 1.51
O  0.5051  0.6397  0.5442  1 P 1.46
O  0.9683  0.2651  0.4990  1 P 1.51
O  0.8600  0.6335  0.7998  2 P 1.57-1.62
O  0.5166  0.7657  0.7798  2 P 1.58-1.62
O  0.3603  0.4949  0.9558  1 P 1.46
O  0.7904  0.4037  0.7736  1 P 1.53
O  0.7657  0.5166  0.2798  2 P 1.58-1.62
O  0.1400  0.3665  0.2002  2 P 1.57-1.62
O  0.2343  0.4834  0.7202  2 P 1.58-1.62
O  0.5963  0.2096  0.7264  1 P 1.53
P  0.6961  0.5600  0.8664  4 O 1.46-1.62
P  0.4400  0.3039  0.6336  4 O 1.46-1.62
P  0.9691  0.3118  0.3279  4 O 1.51-1.58
P  0.0309  0.6882  0.6721  4 O 1.51-1.58
P  0.3118  0.9691  0.8279  4 O 1.51-1.58
P  0.6882  0.0309  0.1721  4 O 1.51-1.58
P  0.5600  0.6961  0.3664  4 O 1.46-1.62
P  0.3039  0.4400  0.1336  4 O 1.46-1.62

Properties
Symmetry: C2/c, No. 15
Energy with MP2020 corrections (eV per atom): -7.99
Excess energy over the best structure of this formula in the dataset (eV per formula unit): 0.25

Entry from the Materials Project: V3C4NO7 after structural relaxation (GGA+U).

Cell lengths 6.5863, 8.5264, 19.9978 Å; angles 66.00, 90.00, 90.00 degrees
With the nearest neighbours (Å) after each atom.
Positions (direct):
V  0.8212  0.2237  0.2936  1 O 1.60
V  0.8826  0.0431  0.7109  1 O 1.62
V  0.6174  0.0431  0.2109  1 O 1.62
V  0.3826  0.9569  0.7891  1 O 1.62
V  0.6800  0.6427  0.7746  2 O 1.61-1.77
V  0.6788  0.2237  0.7936  1 O 1.60
V  0.3200  0.3573  0.2254  2 O 1.61-1.77
V  0.1174  0.9569  0.2891  1 O 1.62
V  0.1788  0.7763  0.7064  1 O 1.60
V  0.3212  0.7763  0.2064  1 O 1.60
V  0.8200  0.6427  0.2746  2 O 1.61-1.77
V  0.1800  0.3573  0.7254  2 O 1.61-1.77
C  0.3194  0.2177  0.4405  2 C 1.49-1.51
C  0.3028  0.3808  0.9171  2 C 1.48-1.51, 1 N 1.53
C  0.6972  0.6192  0.0829  2 C 1.48-1.51, 1 N 1.53
C  0.6356  0.7190  0.0058  2 C 1.48
C  0.6806  0.7823  0.5595  2 C 1.49-1.51
C  0.6721  0.8160  0.4806  2 C 1.48-1.49, 1 N 1.54
C  0.3644  0.2810  0.9942  2 C 1.48
C  0.3279  0.1840  0.5194  2 C 1.48-1.49, 1 N 1.54
C  0.8194  0.7823  0.0595  2 C 1.49-1.51
C  0.1721  0.1840  0.0194  2 C 1.48-1.49, 1 N 1.54
C  0.1806  0.2177  0.9405  2 C 1.49-1.51
C  0.1356  0.2810  0.4942  2 C 1.48
C  0.8028  0.6192  0.5829  2 C 1.48-1.51, 1 N 1.53
C  0.8644  0.7190  0.5058  2 C 1.48
C  0.8279  0.8160  0.9806  2 C 1.48-1.49, 1 N 1.54
C  0.1972  0.3808  0.4171  2 C 1.48-1.51, 1 N 1.53
O  0.3364  0.5359  0.2489  2 V 1.77-1.88
O  0.3238  0.9933  0.2130  3 V 1.91-1.98
O  0.7802  0.1423  0.6313  1 V 1.62
O  0.2198  0.8577  0.3687  1 V 1.62
O  0.1762  0.9933  0.7130  3 V 1.91-1.98
O  0.5567  0.2325  0.2476  2 V 1.84-1.96
O  0.2929  0.8237  0.1207  1 V 1.60
O  0.7802  0.5755  0.3612  1 V 1.61
O  0.9433  0.2325  0.7476  2 V 1.84-1.96
O  0.6762  0.0067  0.7870  3 V 1.91-1.98
O  0.6098  0.7888  0.2266  3 V 1.85-2.06
O  0.3902  0.2112  0.7734  3 V 1.85-2.06
O  0.8902  0.7888  0.7266  3 V 1.85-2.06
O  0.6636  0.4641  0.7511  2 V 1.77-1.88
O  0.8364  0.4641  0.2511  2 V 1.77-1.88
O  0.1636  0.5359  0.7489  2 V 1.77-1.88
O  0.7198  0.5755  0.8612  1 V 1.61
O  0.2071  0.8237  0.6207  1 V 1.60
O  0.0567  0.7675  0.2524  2 V 1.84-1.96
O  0.1098  0.2112  0.2734  3 V 1.85-2.06
O  0.8238  0.0067  0.2870  3 V 1.91-1.98
O  0.2198  0.4245  0.6388  1 V 1.61
O  0.7198  0.1423  0.1313  1 V 1.62
O  0.2802  0.8577  0.8687  1 V 1.62
O  0.7929  0.1763  0.3793  1 V 1.60
O  0.4433  0.7675  0.7524  2 V 1.84-1.96
O  0.2802  0.4245  0.1388  1 V 1.61
O  0.7071  0.1763  0.8793  1 V 1.60
N  0.6310  0.6258  0.5301  4 C 1.53-1.71
N  0.1310  0.3742  0.9699  4 C 1.53-1.71
N  0.8690  0.6258  0.0301  4 C 1.53-1.71
N  0.3690  0.3742  0.4699  4 C 1.53-1.71

Properties
Symmetry: P2_1/c, No. 14
Energy with MP2020 corrections (eV per atom): -7.81

Entry from the Materials Project: Li7Fe3Si2O12 after structural relaxation (GGA+U).

Cell lengths 4.9804, 4.9804, 9.8612 Å; angles 85.18, 85.18, 119.99 degrees
With the nearest neighbours (Å) after each atom.
Positions (direct):
O  0.0389  0.7061  0.8814  3 Fe 2.02, 3 Li 2.14-2.15
O  0.8402  0.4659  0.6024  2 Si 1.86, 1 Li 2.02
O  0.6258  0.6258  0.1213  3 Fe 2.04, 3 Li 2.10
O  0.2939  0.9611  0.1186  3 Fe 2.02, 3 Li 2.14-2.15
O  0.1598  0.5341  0.3976  2 Si 1.86, 1 Li 2.02
O  0.0916  0.0916  0.6024  2 Si 1.86, 1 Li 2.02
O  0.4659  0.8402  0.6024  2 Si 1.86, 1 Li 2.02
O  0.9084  0.9084  0.3976  2 Si 1.86, 1 Li 2.02
O  0.9611  0.2939  0.1186  3 Fe 2.02, 3 Li 2.14-2.15
O  0.3742  0.3742  0.8787  3 Fe 2.04, 3 Li 2.10
O  0.7061  0.0389  0.8814  3 Fe 2.02, 3 Li 2.14-2.15
O  0.5341  0.1598  0.3976  2 Si 1.86, 1 Li 2.02
Li  0.2528  0.2528  0.2566  6 O 2.02-2.23
Li  0.4188  0.0908  0.7434  6 O 2.02-2.23
Li  0.7472  0.7472  0.7434  6 O 2.02-2.23
Li  0.9092  0.5812  0.2566  6 O 2.02-2.23
Li  0.5000  0.5000  0.5000  6 O 2.11
Li  0.0908  0.4188  0.7434  6 O 2.02-2.23
Li  0.5812  0.9092  0.2566  6 O 2.02-2.23
Fe  0.0000  0.0000  0.0000  6 O 2.02-2.04
Fe  0.6671  0.3329  0.0000  6 O 2.02-2.04
Fe  0.3329  0.6671  0.0000  6 O 2.02-2.04
Si  0.1667  0.8333  0.5000  6 O 1.86
Si  0.8333  0.1667  0.5000  6 O 1.86

Properties
Symmetry: C2/m, No. 12
Energy with MP2020 corrections (eV per atom): -6.88

- The lowest energy with MP2020 corrections belongs to which entry?
  ErWBrO4

- Look up the energy with MP2020 corrections of the first one.
  -8.16 eV per atom

- What is the formula in the first record?
  ErWBrO4